Material: EuGa2Se4
Method: DFT, PBE
State: relaxed

Lattice parameters (Å, degrees): 6.3434 6.3434 11.0797 90.00 90.00 119.72
Fractional coordinates of all 14 atoms:
Eu 0.0000 0.0000 0.2500
Eu 0.0000 0.0000 0.7500
Ga 0.2605 0.7376 0.0000
Ga 0.2624 0.7395 0.5000
Ga 0.7376 0.2605 0.5000
Ga 0.7395 0.2624 0.0000
Se 0.0000 0.5000 0.1695
Se 0.0000 0.5000 0.8305
Se 0.1513 0.3108 0.5000
Se 0.3108 0.1513 0.0000
Se 0.5000 0.0000 0.3305
Se 0.5000 0.0000 0.6695
Se 0.6892 0.8487 0.0000
Se 0.8487 0.6892 0.5000

## Properties
energy of formation	-1.2974	eV per atom
density	5.21	Mg/m³
space-group type	Cccm (66)